No. 1
# CdI2 (PBE, relaxed)
# E_form   -81 kJ per mole of atoms
# Magnetic moment   0.00 μB/atom
data_CdI2
_cell_length_a 4.3378
_cell_length_b 4.3378
_cell_length_c 89.5267
_cell_angle_alpha 90.00
_cell_angle_beta 90.00
_cell_angle_gamma 120.00
_symmetry_space_group_name_H-M 'P 3 m 1'
_symmetry_Int_Tables_number 156
_symmetry_space_group_name_Hall 'P 3 -2"'
loop_
_atom_site_label
_atom_site_type_symbol
_atom_site_fract_x
_atom_site_fract_y
_atom_site_fract_z
Cd1 Cd 0.0000 0.0000 0.0000
Cd2 Cd 0.0000 0.0000 0.0833
Cd3 Cd 0.0000 0.0000 0.1667
Cd4 Cd 0.0000 0.0000 0.2500
Cd5 Cd 0.0000 0.0000 0.4166
Cd6 Cd 0.0000 0.0000 0.5000
Cd7 Cd 0.0000 0.0000 0.6667
Cd8 Cd 0.0000 0.0000 0.7500
Cd9 Cd 0.0000 0.0000 0.8333
Cd10 Cd 0.6667 0.3333 0.3333
Cd11 Cd 0.6667 0.3333 0.5833
Cd12 Cd 0.6667 0.3333 0.9166
I1 I 0.0000 0.0000 0.3141
I2 I 0.0000 0.0000 0.5641
I3 I 0.0000 0.0000 0.8974
I4 I 0.3333 0.6667 0.0192
I5 I 0.3333 0.6667 0.1025
I6 I 0.3333 0.6667 0.1859
I7 I 0.3333 0.6667 0.2692
I8 I 0.3333 0.6667 0.3526
I9 I 0.3333 0.6667 0.4359
I10 I 0.3333 0.6667 0.5192
I11 I 0.3333 0.6667 0.6025
I12 I 0.3333 0.6667 0.6859
I13 I 0.3333 0.6667 0.7692
I14 I 0.3333 0.6667 0.8526
I15 I 0.3333 0.6667 0.9359
I16 I 0.6667 0.3333 0.0641
I17 I 0.6667 0.3333 0.1474
I18 I 0.6667 0.3333 0.2307
I19 I 0.6667 0.3333 0.3974
I20 I 0.6667 0.3333 0.4808
I21 I 0.6667 0.3333 0.6474
I22 I 0.6667 0.3333 0.7307
I23 I 0.6667 0.3333 0.8141
I24 I 0.6667 0.3333 0.9808

No. 2
# CdI2 (PBE, relaxed)
# E_form   -81 kJ per mole of atoms
# Magnetic moment   0.00 μB/atom
data_CdI2
_cell_length_a 4.3419
_cell_length_b 4.3419
_cell_length_c 146.8011
_cell_angle_alpha 90.00
_cell_angle_beta 90.00
_cell_angle_gamma 120.00
_symmetry_space_group_name_H-M 'P 3 m 1'
_symmetry_Int_Tables_number 156
_symmetry_space_group_name_Hall 'P 3 -2"'
loop_
_atom_site_label
_atom_site_type_symbol
_atom_site_fract_x
_atom_site_fract_y
_atom_site_fract_z
Cd1 Cd 0.0000 0.0000 0.0000
Cd2 Cd 0.0000 0.0000 0.0500
Cd3 Cd 0.0000 0.0000 0.1500
Cd4 Cd 0.0000 0.0000 0.2500
Cd5 Cd 0.0000 0.0000 0.3500
Cd6 Cd 0.0000 0.0000 0.4500
Cd7 Cd 0.0000 0.0000 0.5500
Cd8 Cd 0.0000 0.0000 0.6500
Cd9 Cd 0.0000 0.0000 0.7500
Cd10 Cd 0.0000 0.0000 0.9000
Cd11 Cd 0.3333 0.6667 0.1000
Cd12 Cd 0.3333 0.6667 0.2000
Cd13 Cd 0.3333 0.6667 0.3000
Cd14 Cd 0.3333 0.6667 0.4000
Cd15 Cd 0.3333 0.6667 0.5000
Cd16 Cd 0.3333 0.6667 0.6000
Cd17 Cd 0.3333 0.6667 0.7000
Cd18 Cd 0.3333 0.6667 0.8000
Cd19 Cd 0.3333 0.6667 0.8500
Cd20 Cd 0.3333 0.6667 0.9500
I1 I 0.0000 0.0000 0.0882
I2 I 0.0000 0.0000 0.1882
I3 I 0.0000 0.0000 0.2882
I4 I 0.0000 0.0000 0.3882
I5 I 0.0000 0.0000 0.4882
I6 I 0.0000 0.0000 0.5882
I7 I 0.0000 0.0000 0.6882
I8 I 0.0000 0.0000 0.7882
I9 I 0.0000 0.0000 0.8382
I10 I 0.0000 0.0000 0.9382
I11 I 0.3333 0.6667 0.0382
I12 I 0.3333 0.6667 0.1382
I13 I 0.3333 0.6667 0.2382
I14 I 0.3333 0.6667 0.3382
I15 I 0.3333 0.6667 0.4382
I16 I 0.3333 0.6667 0.5382
I17 I 0.3333 0.6667 0.6382
I18 I 0.3333 0.6667 0.7382
I19 I 0.3333 0.6667 0.8882
I20 I 0.3333 0.6667 0.9882
I21 I 0.6667 0.3333 0.0118
I22 I 0.6667 0.3333 0.0618
I23 I 0.6667 0.3333 0.1118
I24 I 0.6667 0.3333 0.1618
I25 I 0.6667 0.3333 0.2118
I26 I 0.6667 0.3333 0.2618
I27 I 0.6667 0.3333 0.3118
I28 I 0.6667 0.3333 0.3618
I29 I 0.6667 0.3333 0.4118
I30 I 0.6667 0.3333 0.4618
I31 I 0.6667 0.3333 0.5118
I32 I 0.6667 0.3333 0.5618
I33 I 0.6667 0.3333 0.6118
I34 I 0.6667 0.3333 0.6618
I35 I 0.6667 0.3333 0.7118
I36 I 0.6667 0.3333 0.7618
I37 I 0.6667 0.3333 0.8118
I38 I 0.6667 0.3333 0.8618
I39 I 0.6667 0.3333 0.9118
I40 I 0.6667 0.3333 0.9618